Below is crystalline TiS2 at its relaxed geometry, with properties calculated at the PBE-GGA level.

Cell: 6.5441 6.1048 8.9083 Å, 84.38 111.05 114.27°
Fractional positions:
1 S 0.4027 0.2121 0.4969
2 S 0.5973 0.7879 0.5031
3 S 0.8382 0.2505 0.8508
4 S 0.9191 0.1324 0.2167
5 S 0.0944 0.3753 0.6128
6 S 0.1618 0.7495 0.1492
7 S 0.0809 0.8676 0.7833
8 S 0.9056 0.6247 0.3872
9 Ti 0.7960 0.4998 0.6271
10 Ti 0.0000 0.0000 0.5000
11 Ti 0.0000 0.0000 0.0000
12 Ti 0.2040 0.5002 0.3729



Below is crystalline TbFe4P12 at its relaxed geometry, with properties calculated at the PBE-GGA level.

Cell: 6.7384 6.7384 6.7384 Å, 109.47 109.47 109.47°
Fractional positions:
1 P 0.6478 0.8492 0.4970
2 P 0.3522 0.1508 0.5030
3 P 0.7987 0.6478 0.1508
4 P 0.3522 0.8492 0.2013
5 P 0.1508 0.7987 0.6478
6 P 0.8492 0.4970 0.6478
7 P 0.8492 0.2013 0.3522
8 P 0.4970 0.6478 0.8492
9 P 0.6478 0.1508 0.7987
10 P 0.2013 0.3522 0.8492
11 P 0.1508 0.5030 0.3522
12 P 0.5030 0.3522 0.1508
13 Fe 0.0000 0.0000 0.5000
14 Fe 0.5000 0.5000 0.5000
15 Fe 0.0000 0.5000 0.0000
16 Fe 0.5000 0.0000 0.0000
17 Tb 0.0000 0.0000 0.0000



Below is crystalline CeMg14Cd at its relaxed geometry, with properties calculated at the PBE-GGA level.

polymorph energy (0 for the lowest one) = 0 meV per atom

Cell: 6.4759 6.4759 10.3014 Å, 90.00 90.00 120.22°
Fractional positions:
1 Mg 0.3368 0.1733 0.5000
2 Mg 0.8333 0.1667 0.0000
3 Mg 0.1667 0.8333 0.7466
4 Mg 0.3334 0.1669 0.0000
5 Mg 0.1667 0.8333 0.2534
6 Mg 0.1692 0.3344 0.2466
7 Mg 0.6655 0.3345 0.2459
8 Mg 0.6656 0.8308 0.7534
9 Mg 0.6656 0.8308 0.2466
10 Mg 0.6655 0.3345 0.7541
11 Mg 0.3335 0.6665 0.0000
12 Mg 0.8267 0.6632 0.5000
13 Mg 0.8331 0.6666 0.0000
14 Mg 0.1692 0.3344 0.7534
15 Cd 0.3365 0.6635 0.5000
16 Ce 0.8327 0.1673 0.5000



Below is crystalline MgZr3 at its relaxed geometry, with properties calculated at the PBE-GGA level.

Cell: 5.0164 5.0164 5.0164 Å, 60.00 60.00 60.00°
Fractional positions:
1 Zr 0.7500 0.7500 0.7500
2 Zr 0.2500 0.2500 0.2500
3 Zr 0.0000 0.0000 0.0000
4 Mg 0.5000 0.5000 0.5000



Below is crystalline Zn3Sn at its relaxed geometry, with properties calculated at the PBE-GGA level.

Cell: 4.5244 5.8340 6.7566 Å, 114.38 104.05 91.73°
Fractional positions:
1 Zn 0.2419 0.3164 0.1683
2 Zn 0.7581 0.6836 0.8317
3 Zn 0.7593 0.1355 0.2685
4 Zn 0.2431 0.8492 0.1682
5 Zn 0.2407 0.8645 0.7315
6 Zn 0.7569 0.1508 0.8318
7 Sn 0.2183 0.3405 0.6823
8 Sn 0.7817 0.6595 0.3177



Below is crystalline Hg2Rh at its relaxed geometry, with properties calculated at the PBE-GGA level.

Cell: 4.6653 4.6653 3.0691 Å, 90.00 90.00 90.00°
Fractional positions:
1 Hg 0.5000 0.0000 0.5000
2 Hg 0.0000 0.5000 0.5000
3 Rh 0.0000 0.0000 0.0000



Below is crystalline CeSe2 at its relaxed geometry, with properties calculated at the PBE-GGA level.

Cell: 8.2842 8.7542 9.5465 Å, 101.46 86.07 115.98°
Fractional positions:
1 Se 0.0671 0.2523 0.4388
2 Se 0.5355 0.3864 0.7073
3 Se 0.0232 0.7339 0.3072
4 Se 0.5061 0.0423 0.0502
5 Se 0.0445 0.9887 0.7860
6 Se 0.5568 0.8054 0.5122
7 Se 0.3753 0.4817 0.1225
8 Se 0.1191 0.5928 0.8292
9 Ce 0.2637 0.7249 0.0977
10 Ce 0.3257 0.5168 0.6162
11 Ce 0.3663 0.2108 0.9192
12 Ce 0.9242 0.9379 0.5147



Below is crystalline CsHo3Te5 at its relaxed geometry, with properties calculated at the PBE-GGA level.

Cell: 4.4100 13.1968 23.8156 Å, 90.00 90.00 90.00°
Fractional positions:
1 Te 0.7500 0.8753 0.1862
2 Te 0.2500 0.4439 0.5688
3 Te 0.2500 0.7308 0.0470
4 Te 0.7500 0.6247 0.6862
5 Te 0.2500 0.7023 0.3031
6 Te 0.2500 0.7977 0.8031
7 Te 0.2500 0.3753 0.3138
8 Te 0.7500 0.2977 0.6969
9 Te 0.7500 0.5561 0.4312
10 Te 0.7500 0.2308 0.4530
11 Te 0.7500 0.2692 0.9530
12 Te 0.2500 0.1247 0.8138
13 Te 0.2500 0.0456 0.3257
14 Te 0.2500 0.0561 0.0688
15 Te 0.7500 0.5456 0.1743
16 Te 0.7500 0.9544 0.6743
17 Te 0.2500 0.7692 0.5470
18 Te 0.7500 0.9439 0.9312
19 Te 0.2500 0.4544 0.8257
20 Te 0.7500 0.2023 0.1969
21 Ho 0.7500 0.2968 0.8252
22 Ho 0.7500 0.2032 0.3252
23 Ho 0.2500 0.7968 0.6748
24 Ho 0.7500 0.8921 0.0556
25 Ho 0.7500 0.9538 0.8024
26 Ho 0.7500 0.5462 0.3024
27 Ho 0.2500 0.3921 0.4444
28 Ho 0.2500 0.7032 0.1748
29 Ho 0.2500 0.1079 0.9444
30 Ho 0.2500 0.4538 0.6976
31 Ho 0.7500 0.6079 0.5556
32 Ho 0.2500 0.0462 0.1976
33 Cs 0.7500 0.8540 0.4108
34 Cs 0.7500 0.6460 0.9108
35 Cs 0.2500 0.1460 0.5892
36 Cs 0.2500 0.3540 0.0892



ΔE_f in eV/atom, matching the order above: -1.209 -0.592 0.023 0.121 0.099 0.004 -1.424 -1.641
Electronic total energy in eV per atom, matching the order above: -6.264 -6.679 -1.806 -6.690 -1.848 -2.653 -5.418 -4.779